# MgV4Ag2O11 (PBE+U, optimized geometry)
data_MgV4Ag2O11
_chemical_formula_sum 'Mg1 V4 Ag2 O11'
_symmetry_space_group_name_H-M 'P 1'
_symmetry_Int_Tables_number 1
_cell_length_a 3.701
_cell_length_b 8.047
_cell_length_c 8.533
_cell_angle_alpha 68.07
_cell_angle_beta 77.54
_cell_angle_gamma 76.90
loop_
_symmetry_equiv_pos_as_xyz
'x,y,z'
loop_
_atom_site_label
_atom_site_fract_x
_atom_site_fract_y
_atom_site_fract_z
_atom_site_occupancy
Mg1 0.000 0.000 0.000 1
V1 0.121 0.246 0.519 1
V2 0.312 0.271 0.110 1
V3 0.663 0.925 0.750 1
V4 0.831 0.969 0.370 1
Ag1 0.385 0.582 0.651 1
Ag2 0.577 0.605 0.246 1
O1 0.124 0.011 0.743 1
O2 0.157 0.394 0.300 1
O3 0.289 0.471 0.957 1
O4 0.292 0.041 0.378 1
O5 0.448 0.117 0.988 1
O6 0.626 0.794 0.959 1
O7 0.651 0.167 0.537 1
O8 0.800 0.792 0.606 1
O9 0.814 0.208 0.168 1
O10 0.962 0.829 0.249 1
O11 0.995 0.400 0.617 1
# Total energy after the MP2020 corrections ... -135.3 eV per cell

# HfMg14FeO16 (PBE+U, optimized geometry)
data_HfMg14FeO16
_chemical_formula_sum 'Hf1 Mg14 Fe1 O16'
_symmetry_space_group_name_H-M 'P m m m'
_symmetry_Int_Tables_number 47
_cell_length_a 4.289
_cell_length_b 8.648
_cell_length_c 8.690
_cell_angle_alpha 90.00
_cell_angle_beta 90.00
_cell_angle_gamma 90.00
loop_
_symmetry_equiv_pos_as_xyz
'x,y,z'
'-x,-y,-z'
'-x,-y,z'
'x,y,-z'
'x,-y,-z'
'-x,y,z'
'-x,y,-z'
'x,-y,z'
loop_
_atom_site_label
_atom_site_fract_x
_atom_site_fract_y
_atom_site_fract_z
_atom_site_occupancy
Hf1 0.000 0.000 0.000 1
Mg1 0.000 0.254 0.259 1
Mg2 0.000 0.500 0.000 1
Mg3 0.000 0.500 0.500 1
Mg4 0.500 0.000 0.266 1
Mg5 0.500 0.250 0.500 1
Mg6 0.500 0.258 0.000 1
Mg7 0.500 0.500 0.252 1
Fe1 0.000 0.000 0.500 1
O1 0.000 0.000 0.236 1
O2 0.000 0.255 0.000 1
O3 0.000 0.265 0.500 1
O4 0.000 0.500 0.247 1
O5 0.500 0.000 0.000 1
O6 0.500 0.000 0.500 1
O7 0.500 0.249 0.250 1
O8 0.500 0.500 0.000 1
O9 0.500 0.500 0.500 1
# Total energy after the MP2020 corrections ... -211.3 eV per cell

# Lu4V4O13 (PBE+U, optimized geometry)
data_Lu4V4O13
_chemical_formula_sum 'Lu16 V16 O52'
_symmetry_space_group_name_H-M 'C 1 2/m 1'
_symmetry_Int_Tables_number 12
_cell_length_a 12.123
_cell_length_b 7.182
_cell_length_c 12.476
_cell_angle_alpha 90.00
_cell_angle_beta 110.82
_cell_angle_gamma 90.00
loop_
_symmetry_equiv_pos_as_xyz
'x,y,z'
'-x,-y,-z'
'-x,y,-z'
'x,-y,z'
'x+1/2,y+1/2,z'
'-x+1/2,-y+1/2,-z'
'-x+1/2,y+1/2,-z'
'x+1/2,-y+1/2,z'
loop_
_atom_site_label
_atom_site_fract_x
_atom_site_fract_y
_atom_site_fract_z
_atom_site_occupancy
Lu1 0.000 0.000 0.000 1
Lu2 0.000 0.500 0.000 1
Lu3 0.008 0.241 0.271 1
Lu4 0.246 0.000 0.756 1
V1 0.000 0.000 0.500 1
V2 0.000 0.500 0.500 1
V3 0.243 0.000 0.246 1
V4 0.250 0.250 0.000 1
V5 0.250 0.250 0.500 1
O1 0.058 0.261 0.922 1
O2 0.066 0.000 0.678 1
O3 0.078 0.000 0.196 1
O4 0.079 0.500 0.679 1
O5 0.082 0.281 0.464 1
O6 0.196 0.000 0.505 1
O7 0.201 0.263 0.328 1
O8 0.219 0.500 0.058 1
O9 0.241 0.305 0.842 1
# Total energy after the MP2020 corrections ... -733.2 eV per cell

# NaCo3O4 (PBE+U, optimized geometry)
data_NaCo3O4
_chemical_formula_sum 'Na2 Co6 O8'
_symmetry_space_group_name_H-M 'P m n 21'
_symmetry_Int_Tables_number 31
_cell_length_a 6.764
_cell_length_b 5.719
_cell_length_c 5.361
_cell_angle_alpha 90.00
_cell_angle_beta 90.00
_cell_angle_gamma 90.00
loop_
_symmetry_equiv_pos_as_xyz
'x,y,z'
'-x+1/2,-y,z+1/2'
'-x,y,z'
'x+1/2,-y,z+1/2'
loop_
_atom_site_label
_atom_site_fract_x
_atom_site_fract_y
_atom_site_fract_z
_atom_site_occupancy
Na1 0.000 0.166 0.000 1
Co1 0.000 0.817 0.509 1
Co2 0.246 0.332 0.504 1
O1 0.000 0.145 0.446 1
O2 0.000 0.784 0.861 1
O3 0.216 0.654 0.371 1
# Total energy after the MP2020 corrections ... -106.7 eV per cell

Which E above lowest polymorph belongs to each record? In order, 0.05, 0.00, 0.00, 0.00 eV/f.u..